(1)
Below is a geometry-optimized MoN structure, with properties calculated at the PBE-GGA level.

Values from the calculation:
Crystal system: hexagonal
Total magnetization (μB per atom): 0.00
Calculated formation energy (eV per atom): -0.46

Cell lengths 2.8858, 2.8858, 2.8561 Å; angles 90.00, 90.00, 120.00 degrees
Space group P-6m2 (No. 187)
Inequivalent atoms, fractional coordinates:
Mo 0.0000 0.0000 0.0000 (multiplicity 1)
N 0.6667 0.3333 0.5000 (multiplicity 1)

***

(2)
Below is a geometry-optimized MoN structure, with properties calculated at the PBE-GGA level.

Values from the calculation:
Crystal system: cubic
Total magnetization (μB per atom): 0.00
Calculated formation energy (eV per atom): -0.15

Cell lengths 4.3569, 4.3569, 4.3569 Å; angles 90.00, 90.00, 90.00 degrees
Space group Fm-3m (No. 225)
Inequivalent atoms, fractional coordinates:
Mo 0.0000 0.0000 0.0000 (multiplicity 4)
N 0.0000 0.0000 0.5000 (multiplicity 4)

***

(3)
Below is a geometry-optimized MoN structure, with properties calculated at the PBE-GGA level.

Values from the calculation:
Crystal system: orthorhombic
Total magnetization (μB per atom): 0.00
Calculated formation energy (eV per atom): 0.21

Cell lengths 3.1319, 6.3440, 8.0503 Å; angles 90.00, 90.00, 90.00 degrees
Space group Imma (No. 74)
Inequivalent atoms, fractional coordinates:
Mo 0.0000 0.2500 0.1168 (multiplicity 4)
N 0.0000 0.0000 0.0000 (multiplicity 4)

***

(4)
Below is a geometry-optimized MoN2 structure, with properties calculated at the PBE-GGA level.

Values from the calculation:
Crystal system: tetragonal
Total magnetization (μB per atom): 0.00
Calculated formation energy (eV per atom): -0.11

Cell lengths 4.3481, 4.3481, 2.7675 Å; angles 90.00, 90.00, 90.00 degrees
Space group P4/mbm (No. 127)
Inequivalent atoms, fractional coordinates:
Mo 0.0000 0.0000 0.0000 (multiplicity 2)
N 0.1116 0.3884 0.5000 (multiplicity 4)

***

(5)
Below is a geometry-optimized MoN structure, with properties calculated at the PBE-GGA level.

Values from the calculation:
Crystal system: cubic
Total magnetization (μB per atom): 0.38
Calculated formation energy (eV per atom): -0.22

Cell lengths 4.6726, 4.6726, 4.6726 Å; angles 90.00, 90.00, 90.00 degrees
Space group F-43m (No. 216)
Inequivalent atoms, fractional coordinates:
Mo 0.0000 0.0000 0.0000 (multiplicity 4)
N 0.2500 0.2500 0.2500 (multiplicity 4)

***

(6)
Below is a geometry-optimized MoN structure, with properties calculated at the PBE-GGA level.

Values from the calculation:
Crystal system: hexagonal
Calculated formation energy (eV per atom): -0.54

Cell lengths 2.8711, 2.8711, 11.4637 Å; angles 90.00, 90.00, 120.00 degrees
Space group P6_3/mmc (No. 194)
Inequivalent atoms, fractional coordinates:
Mo 0.0000 0.0000 0.0000 (multiplicity 2)
Mo 0.0000 0.0000 0.2500 (multiplicity 2)
N 0.3333 0.6667 0.1293 (multiplicity 4)

***

no.,E (eV per atom)
1,-9.868
2,-9.557
3,-9.199
4,-9.045
5,-9.633
6,-9.947